Record 1
! Sr2La2MgRu3O12 (PBE, relaxed); values from VASP
&SYSTEM
  ibrav = 0, nat = 40, ntyp = 5
/
ATOMIC_SPECIES
Sr 87.62 Sr.upf
La 138.91 La.upf
Mg 24.30 Mg.upf
Ru 101.07 Ru.upf
O 16.00 O.upf
CELL_PARAMETERS angstrom
5.6354 0.0000 0.0000
0.0000 5.6375 0.0000
0.0000 0.0797 15.9712
ATOMIC_POSITIONS angstrom
Sr 5.5985 5.4977 1.9672
Sr 2.8546 2.6789 1.9672
Sr 2.7808 3.0383 14.0040
Sr 0.0369 0.2195 14.0040
La 5.5466 5.5117 9.8473
La 2.9064 2.6930 9.8473
La 2.7289 3.0242 6.1239
La 0.0887 0.2055 6.1239
Mg 0.0000 2.8586 7.9856
Mg 2.8177 0.0398 7.9856
Ru 0.0000 2.8188 0.0000
Ru 5.5961 2.8282 3.9713
Ru 0.0393 2.8890 11.9999
Ru 2.8570 5.6469 3.9713
Ru 2.7784 0.0703 11.9999
Ru 2.8177 0.0000 0.0000
O 5.1477 2.7374 5.9020
O 5.2392 2.8266 13.9899
O 4.3932 1.2823 8.3537
O 4.3521 1.2866 0.3063
O 4.3808 1.2735 3.6335
O 4.3721 1.3328 11.5660
O 4.1010 4.1054 0.3063
O 4.0599 4.1011 8.3537
O 4.0722 4.0922 3.6335
O 4.0810 4.1516 11.5660
O 3.2138 5.6454 13.9899
O 3.3054 5.5561 5.9020
O 2.3300 0.1611 10.0692
O 2.4216 0.0718 1.9812
O 1.5544 1.5656 4.4052
O 1.5632 1.6250 12.3377
O 1.5755 1.6161 7.6175
O 1.5344 1.6118 15.6649
O 1.2422 4.4349 7.6175
O 1.2633 4.3844 4.4052
O 1.2545 4.4437 12.3377
O 1.2833 4.4306 15.6649
O 0.3961 2.8906 1.9812
O 0.4877 2.9798 10.0692
! Spin magnetization   5.998 μB per formula unit
! Space group   P2_1/c, No. 14
! Offset from the most stable computed form   0.014 eV per atom

***

Record 2
! La2MgSbO6 (PBE, relaxed); values from VASP
&SYSTEM
  ibrav = 0, nat = 10, ntyp = 4
/
ATOMIC_SPECIES
La 138.91 La.upf
Mg 24.30 Mg.upf
Sb 121.76 Sb.upf
O 16.00 O.upf
CELL_PARAMETERS angstrom
4.9743 -2.9206 0.0000
4.9743 2.9206 0.0000
3.2594 0.0000 4.7592
ATOMIC_POSITIONS angstrom
La 9.9142 0.0000 3.5724
La 3.2937 0.0000 1.1868
Mg 6.6040 0.0000 2.3796
Sb 0.0000 0.0000 0.0000
O 5.9628 -1.1787 0.7543
O 5.6419 1.7253 1.6450
O 4.9498 -0.5466 3.5657
O 7.2451 1.1787 4.0049
O 8.2581 0.5466 1.1935
O 7.5661 -1.7253 3.1142
! Spin magnetization   0.235 μB per formula unit
! Space group   R-3, No. 148
! Total DFT energy (no corrections)   -71.33 eV per cell

***

Record 3
! La2MgZnSbO6 (PBE, relaxed); values from VASP
&SYSTEM
  ibrav = 0, nat = 11, ntyp = 5
/
ATOMIC_SPECIES
La 138.91 La.upf
Mg 24.30 Mg.upf
Zn 65.41 Zn.upf
Sb 121.76 Sb.upf
O 16.00 O.upf
CELL_PARAMETERS angstrom
5.8562 0.0819 2.2097
1.7421 5.3612 2.7125
-0.6095 0.1940 5.6291
ATOMIC_POSITIONS angstrom
La 4.4811 4.1612 8.1342
La 1.9466 1.8899 2.4308
Mg 1.7998 4.2305 5.1089
Zn 4.2302 2.1487 5.0816
Sb -0.2788 0.7916 5.2097
O 3.0475 3.3168 3.8698
O 4.3576 0.2286 4.5789
O 0.6614 2.5594 5.5710
O 3.5016 2.3634 6.9550
O 5.9008 3.1678 4.6107
O 2.8348 5.3750 6.5589
! Spin magnetization   1.000 μB per formula unit
! Space group   P1, No. 1
! Offset from the most stable computed form   0.000 eV per atom

***

Record 4
! La2MgZnSbO6 (PBE, relaxed); values from VASP
&SYSTEM
  ibrav = 0, nat = 11, ntyp = 5
/
ATOMIC_SPECIES
La 138.91 La.upf
Mg 24.30 Mg.upf
Zn 65.41 Zn.upf
Sb 121.76 Sb.upf
O 16.00 O.upf
CELL_PARAMETERS angstrom
1.6041 7.0698 -0.3097
-2.5319 5.6452 3.7904
3.2411 4.3789 4.7917
ATOMIC_POSITIONS angstrom
La 1.9254 14.2029 6.8721
La 0.5230 3.8391 1.8571
Mg 1.3436 9.8976 4.7888
Zn 0.9451 6.9630 3.3686
Sb 0.1068 0.7687 0.3709
O -0.9979 7.7912 3.6302
O 2.1365 8.1329 2.0482
O 1.9213 6.6217 5.2292
O 3.2011 9.4744 4.8305
O 0.5794 10.6203 3.1970
O 0.1974 9.2357 6.1639
! Spin magnetization   1.000 μB per formula unit
! Space group   R3, No. 146
! Offset from the most stable computed form   0.053 eV per atom

***

Record 5
! La2MgZnSbO6 (PBE, relaxed); values from VASP
&SYSTEM
  ibrav = 0, nat = 11, ntyp = 5
/
ATOMIC_SPECIES
La 138.91 La.upf
Mg 24.30 Mg.upf
Zn 65.41 Zn.upf
Sb 121.76 Sb.upf
O 16.00 O.upf
CELL_PARAMETERS angstrom
-4.5976 5.0737 -0.6994
-6.5883 -0.3735 -0.2588
-3.8566 1.9712 4.6758
ATOMIC_POSITIONS angstrom
La -10.7076 4.7164 2.7535
La -4.9443 2.1692 1.2150
Mg -1.4366 0.6107 0.5658
Zn -7.8853 3.5986 1.5998
Sb -13.7462 6.1280 3.1868
O -7.2130 2.0316 0.3321
O -5.9286 4.4520 1.3994
O -5.7895 1.8943 3.4679
O -8.2478 4.7174 3.5244
O -9.2231 4.8927 0.7082
O -9.5318 2.3358 2.2072
! Spin magnetization   1.000 μB per formula unit
! Space group   P1, No. 1
! Offset from the most stable computed form   0.053 eV per atom

***

Record 6
! La3Mg2TaO9 (PBE, relaxed); values from VASP
&SYSTEM
  ibrav = 0, nat = 60, ntyp = 4
/
ATOMIC_SPECIES
La 138.91 La.upf
Mg 24.30 Mg.upf
Ta 180.95 Ta.upf
O 16.00 O.upf
CELL_PARAMETERS angstrom
-1.0710 5.5094 1.1411
-6.3021 -0.1960 -4.9690
-16.2955 -4.7980 7.8708
ATOMIC_POSITIONS angstrom
La -12.4265 2.1304 5.8184
La -9.2801 3.5562 1.7151
La -5.6598 5.0829 -2.4989
La -16.9781 -1.1561 5.1714
La -13.3758 0.4628 0.9765
La -3.8162 2.1500 1.3902
La -18.0088 -4.5675 6.5417
La -14.3885 -3.0408 2.3278
La -11.2422 -1.6150 -1.7755
La -19.8525 -1.6346 2.6527
La -10.2929 0.0527 3.0663
La -6.6905 1.6716 -1.1285
Mg -17.7545 -4.0998 3.2268
Mg -8.1477 -2.3990 3.9354
Mg -5.9141 4.6152 0.8161
Mg -0.5355 2.7547 0.5705
Mg -13.5335 -0.5014 4.1886
Mg -10.1351 1.0168 -0.1458
Mg -3.6866 2.6567 -1.9140
Mg -11.2988 -2.4970 1.4509
Ta -16.6419 -0.6156 1.6843
Ta -7.0267 1.1310 2.3586
Ta -15.7069 1.4709 6.8613
Ta -7.9617 -0.9555 -2.8184
O -19.2948 -0.1676 5.6182
O -16.0064 1.2686 1.3842
O -6.3517 3.0011 2.0963
O -14.4259 0.2234 5.9533
O -11.0458 1.7105 1.5749
O -7.7861 3.2947 -2.6284
O -17.3169 -2.4857 1.9465
O -7.6623 -0.7532 2.6586
O -4.3738 0.6830 -1.5753
O -15.8825 -2.7793 6.6713
O -12.6228 -1.1951 2.4680
O -9.2428 0.2920 -1.9104
O -18.4954 -2.8045 4.6478
O -15.1869 -1.2745 0.5011
O -5.5771 0.4579 1.1318
O -13.6212 -2.4741 4.9568
O -10.2522 -0.8962 0.6108
O -6.9337 0.5820 -3.5467
O -18.0916 0.0575 2.9111
O -8.4817 1.7899 3.5418
O -5.1733 3.3199 -0.6050
O -16.7350 -0.0665 7.5896
O -13.4164 1.4117 3.4321
O -10.0474 2.9895 -0.9140
O -21.3282 -1.8887 4.3716
O -11.6196 -0.2049 5.1132
O -8.2373 1.3410 0.7811
O -16.8748 1.4614 5.2384
O -13.6491 2.9209 0.9355
O -3.9584 4.6972 1.6962
O -15.4313 -0.8256 3.2618
O -12.0490 0.7203 -1.0703
O -2.3404 2.4042 -0.3288
O -19.7102 -4.1817 2.3467
O -10.0195 -2.4055 3.1074
O -6.7938 -0.9460 -1.1955
! Spin magnetization   0.000 μB per formula unit
! Space group   P2_1/c, No. 14
! Total DFT energy (no corrections)   -489.14 eV per cell